[1]
# Lu2TeO6, optimized geometry, DFT PBE
data_Lu2TeO6
_cell_length_a 9.7120
_cell_length_b 9.7120
_cell_length_c 5.3071
_cell_angle_alpha 103.86
_cell_angle_beta 103.86
_cell_angle_gamma 68.67
_symmetry_space_group_name_H-M 'P 1'
_symmetry_Int_Tables_number 1
loop_
_symmetry_equiv_pos_as_xyz
'x,y,z'
loop_
_atom_site_label
_atom_site_fract_x
_atom_site_fract_y
_atom_site_fract_z
Lu1 0.0609 0.2828 0.8853
Lu2 0.1025 0.8975 0.7500
Lu3 0.2828 0.0609 0.3853
Lu4 0.3754 0.6246 0.2500
Lu5 0.6246 0.3754 0.7500
Lu6 0.7172 0.9391 0.6147
Lu7 0.8975 0.1025 0.2500
Lu8 0.9391 0.7172 0.1147
Te1 0.1950 0.4983 0.5669
Te2 0.4983 0.1950 0.0669
Te3 0.5017 0.8050 0.9331
Te4 0.8050 0.5017 0.4331
O1 0.0551 0.4705 0.2552
O2 0.0752 0.1061 0.0773
O3 0.1061 0.0752 0.5773
O4 0.1551 0.6878 0.4265
O5 0.1792 0.6232 0.9006
O6 0.2148 0.3115 0.6502
O7 0.3115 0.2148 0.1502
O8 0.3122 0.8449 0.0735
O9 0.3768 0.8208 0.5994
O10 0.3904 0.4584 0.5106
O11 0.4584 0.3904 0.0106
O12 0.4705 0.0551 0.7552
O13 0.5295 0.9449 0.2448
O14 0.5416 0.6096 0.9894
O15 0.6096 0.5416 0.4894
O16 0.6232 0.1792 0.4006
O17 0.6878 0.1551 0.9265
O18 0.6885 0.7852 0.8498
O19 0.7852 0.6885 0.3498
O20 0.8208 0.3768 0.0994
O21 0.8449 0.3122 0.5735
O22 0.8939 0.9248 0.4227
O23 0.9248 0.8939 0.9227
O24 0.9449 0.5295 0.7448
# calculated total energy: -7.18 eV per atom
# energy of formation from the pure elements: -26.843 eV per formula unit
# density: 8.5 g/cm³
# calculated volume: 446 Å³/cell



[2]
# Ni3Cl4, optimized geometry, DFT PBE
data_Ni3Cl4
_cell_length_a 6.0210
_cell_length_b 6.0210
_cell_length_c 3.5311
_cell_angle_alpha 90.00
_cell_angle_beta 90.00
_cell_angle_gamma 108.37
_symmetry_space_group_name_H-M 'P 1'
_symmetry_Int_Tables_number 1
loop_
_symmetry_equiv_pos_as_xyz
'x,y,z'
loop_
_atom_site_label
_atom_site_fract_x
_atom_site_fract_y
_atom_site_fract_z
Ni1 0.0000 0.0000 0.0000
Ni2 0.0000 0.5000 0.5000
Ni3 0.5000 0.0000 0.5000
Cl1 0.2343 0.2343 0.5000
Cl2 0.2508 0.7492 0.0000
Cl3 0.7492 0.2508 0.0000
Cl4 0.7657 0.7657 0.5000
# calculated total energy: -3.81 eV per atom
# energy of formation from the pure elements: -4.365 eV per formula unit
# density: 4.3 g/cm³
# calculated volume: 121 Å³/cell